Entry 1:
! PBE-GGA PmCu2Sn, relaxed; values from VASP
&SYSTEM
  ibrav = 0, nat = 16, ntyp = 3
/
ATOMIC_SPECIES
Pm 145.00 Pm.upf
Cu 63.55 Cu.upf
Sn 118.71 Sn.upf
ATOMIC_POSITIONS angstrom
Pm 0.000 0.000 0.000
Pm 0.000 3.373 3.373
Pm 3.373 0.000 3.373
Pm 3.373 3.373 0.000
Cu 1.687 1.687 1.687
Cu 1.687 1.687 5.060
Cu 1.687 5.060 1.687
Cu 1.687 5.060 5.060
Cu 5.060 1.687 1.687
Cu 5.060 1.687 5.060
Cu 5.060 5.060 1.687
Cu 5.060 5.060 5.060
Sn 0.000 0.000 3.373
Sn 0.000 3.373 0.000
Sn 3.373 0.000 0.000
Sn 3.373 3.373 3.373
CELL_PARAMETERS angstrom
6.747 0.000 0.000
0.000 6.747 0.000
0.000 0.000 6.747
! Electronic total energy   -73.68 eV/cell

***

Entry 2:
! PBE-GGA SrGa2S4, relaxed; values from VASP
&SYSTEM
  ibrav = 0, nat = 56, ntyp = 3
/
ATOMIC_SPECIES
Sr 87.62 Sr.upf
Ga 69.72 Ga.upf
S 32.06 S.upf
ATOMIC_POSITIONS angstrom
Sr 4.629 7.783 2.619
Sr 1.543 2.594 2.655
Sr 7.715 12.972 7.929
Sr 4.629 7.783 7.964
Sr 7.715 12.972 13.273
Sr 4.629 7.783 13.308
Sr 10.801 18.161 18.582
Sr 7.715 12.972 18.618
Ga 8.194 9.267 5.304
Ga 4.649 4.916 5.299
Ga 11.280 11.488 10.613
Ga 8.194 6.299 10.623
Ga 7.695 10.105 10.609
Ga 4.609 4.916 10.628
Ga 4.609 10.651 5.299
Ga 1.064 6.299 5.304
Ga 11.280 14.456 15.933
Ga 7.735 10.105 15.938
Ga 7.735 15.840 10.609
Ga 4.649 10.651 10.628
Ga 4.150 14.456 10.613
Ga 1.064 9.267 10.623
Ga 7.695 15.840 15.938
Ga 4.150 11.488 15.933
S 3.099 5.188 1.738
S 6.158 5.184 7.041
S 6.159 10.379 1.738
S 9.245 10.377 7.047
S 3.154 3.208 5.291
S 9.190 8.397 10.600
S 6.104 3.208 10.637
S 5.977 8.772 5.287
S 3.281 6.795 5.287
S 9.063 11.984 10.597
S 5.977 6.795 10.640
S 6.104 12.359 5.291
S 3.100 5.184 8.887
S 6.159 5.188 14.190
S 9.244 10.372 14.196
S 6.158 10.383 8.887
S 6.186 10.372 12.350
S 3.100 10.383 7.041
S 6.185 15.568 7.047
S 9.244 15.572 12.350
S 6.240 8.397 15.946
S 6.367 13.961 10.597
S 3.281 8.772 10.640
S 9.063 13.961 15.950
S 6.367 11.984 15.950
S 6.240 17.548 10.600
S 3.154 12.359 10.637
S 9.190 17.548 15.946
S 3.099 10.379 14.190
S 6.185 10.377 19.499
S 6.186 15.572 14.196
S 9.245 15.568 19.499
CELL_PARAMETERS angstrom
0.000 10.378 10.618
6.172 0.000 10.618
6.172 10.378 0.000
! Electronic total energy   -259.96 eV/cell

***

Entry 3:
! PBE-GGA Rb2Ta2Si2O11, relaxed; values from VASP
&SYSTEM
  ibrav = 0, nat = 136, ntyp = 4
/
ATOMIC_SPECIES
Rb 85.47 Rb.upf
Ta 180.95 Ta.upf
Si 28.09 Si.upf
O 16.00 O.upf
ATOMIC_POSITIONS angstrom
Rb 0.000 0.858 0.000
Rb 0.000 6.530 19.847
Rb 0.194 3.588 26.829
Rb 0.194 3.800 32.711
Rb 0.858 0.000 29.770
Rb 3.471 3.471 14.885
Rb 3.471 3.917 4.962
Rb 3.588 0.194 2.941
Rb 3.588 7.194 16.906
Rb 3.800 0.194 36.752
Rb 3.800 7.194 22.788
Rb 3.917 3.471 24.808
Rb 3.917 3.917 34.731
Rb 6.530 0.000 9.923
Rb 7.194 3.588 12.864
Rb 7.194 3.800 6.982
Ta 0.017 1.724 23.410
Ta 0.017 5.663 36.130
Ta 0.020 1.927 36.005
Ta 0.020 5.461 23.535
Ta 1.724 0.017 6.360
Ta 1.724 7.371 13.486
Ta 1.927 0.020 33.458
Ta 1.927 7.367 26.082
Ta 5.461 0.020 6.235
Ta 5.461 7.367 13.611
Ta 5.663 0.017 33.333
Ta 5.663 7.371 26.207
Ta 7.367 1.927 3.688
Ta 7.367 5.461 16.159
Ta 7.371 1.724 16.284
Ta 7.371 5.663 3.563
Si 2.061 3.652 21.446
Si 2.061 3.736 38.094
Si 2.095 3.652 18.201
Si 2.095 3.736 1.645
Si 3.652 2.061 8.324
Si 3.652 2.095 11.568
Si 3.652 5.293 8.278
Si 3.652 5.327 11.523
Si 3.736 2.061 31.369
Si 3.736 2.095 28.125
Si 3.736 5.293 31.415
Si 3.736 5.327 28.170
Si 5.293 3.652 21.492
Si 5.293 3.736 38.048
Si 5.327 3.652 18.247
Si 5.327 3.736 1.600
O 0.016 0.095 2.888
O 0.016 7.292 16.958
O 0.026 3.609 24.072
O 0.026 3.779 35.467
O 0.095 0.016 26.882
O 0.095 7.371 32.658
O 0.759 3.075 9.871
O 0.759 4.313 9.976
O 1.317 1.317 14.885
O 1.312 1.444 5.043
O 1.312 5.944 14.804
O 1.317 6.071 4.962
O 1.411 2.284 22.041
O 1.411 5.103 37.499
O 1.430 2.383 37.442
O 1.430 5.005 22.098
O 1.444 1.312 24.727
O 1.441 1.441 34.731
O 1.441 5.947 24.808
O 1.444 6.075 34.812
O 1.479 2.286 17.562
O 1.479 5.102 2.285
O 1.482 2.388 2.329
O 1.482 4.999 17.517
O 1.871 3.650 0.028
O 1.871 3.737 19.818
O 2.284 1.411 7.729
O 2.286 1.479 12.208
O 2.286 5.908 7.638
O 2.284 5.977 12.117
O 2.383 1.430 32.021
O 2.388 1.482 27.440
O 2.388 5.906 32.099
O 2.383 5.958 27.519
O 3.075 0.759 19.899
O 3.075 6.629 39.641
O 3.609 0.026 5.697
O 3.609 7.361 14.149
O 3.633 3.672 7.963
O 3.633 3.716 11.884
O 3.650 1.871 29.742
O 3.650 5.517 29.798
O 3.672 3.633 21.807
O 3.672 3.754 37.733
O 3.716 3.633 17.886
O 3.716 3.754 1.960
O 3.737 1.871 9.951
O 3.737 5.517 9.895
O 3.754 3.672 31.730
O 3.754 3.716 27.809
O 3.779 0.026 33.996
O 3.779 7.361 25.544
O 4.313 0.759 19.794
O 4.313 6.629 0.052
O 5.005 1.430 7.672
O 4.999 1.482 12.253
O 4.999 5.906 7.594
O 5.005 5.958 12.174
O 5.103 1.411 31.964
O 5.102 1.479 27.485
O 5.102 5.908 32.055
O 5.103 5.977 27.576
O 5.517 3.650 39.665
O 5.517 3.737 19.875
O 5.906 2.388 37.364
O 5.906 4.999 22.176
O 5.908 2.286 22.131
O 5.908 5.102 37.408
O 5.944 1.312 14.966
O 5.947 1.441 4.962
O 5.947 5.947 14.885
O 5.944 6.075 4.881
O 5.958 2.383 2.251
O 5.958 5.005 17.596
O 5.977 2.284 17.652
O 5.977 5.103 2.194
O 6.071 1.317 24.808
O 6.075 1.444 34.650
O 6.075 5.944 24.889
O 6.071 6.071 34.731
O 6.629 3.075 29.822
O 6.629 4.313 29.717
O 7.292 0.016 12.811
O 7.292 7.371 7.035
O 7.361 3.609 15.621
O 7.361 3.779 4.226
O 7.371 0.095 36.805
O 7.371 7.292 22.735
CELL_PARAMETERS angstrom
7.388 0.000 0.000
0.000 7.388 0.000
0.000 0.000 39.693
! Electronic total energy   -1079.19 eV/cell

***

Entry 4:
! PBE-GGA Tm2TeS2, relaxed; values from VASP
&SYSTEM
  ibrav = 0, nat = 10, ntyp = 3
/
ATOMIC_SPECIES
Tm 168.93 Tm.upf
Te 127.60 Te.upf
S 32.06 S.upf
ATOMIC_POSITIONS angstrom
Tm 0.000 0.000 2.225
Tm 0.000 0.000 11.123
Tm 2.069 2.642 4.449
Tm 2.069 2.642 8.899
Te 0.000 2.642 6.674
Te 2.069 0.000 0.000
S 0.000 2.642 2.720
S 0.000 2.642 10.628
S 2.069 0.000 3.954
S 2.069 0.000 9.394
CELL_PARAMETERS angstrom
4.138 0.000 0.000
0.000 5.284 0.000
0.000 0.000 13.348
! Electronic total energy   -59.14 eV/cell

***

Entry 5:
! PBE-GGA TbS3, relaxed; values from VASP
&SYSTEM
  ibrav = 0, nat = 8, ntyp = 2
/
ATOMIC_SPECIES
Tb 158.93 Tb.upf
S 32.06 S.upf
ATOMIC_POSITIONS angstrom
Tb 0.000 0.000 0.000
Tb 2.944 4.310 0.000
S 0.000 0.000 6.161
S 1.472 2.155 0.000
S 1.472 6.464 0.000
S 2.944 4.310 6.161
S 4.415 2.155 0.000
S 4.415 6.464 0.000
CELL_PARAMETERS angstrom
5.887 0.000 0.000
0.000 8.619 0.000
0.000 0.000 12.321
! Electronic total energy   -33.05 eV/cell

***

Entry 6:
! PBE-GGA Li3Si2BiO7, relaxed; values from VASP
&SYSTEM
  ibrav = 0, nat = 52, ntyp = 4
/
ATOMIC_SPECIES
Li 6.94 Li.upf
Si 28.09 Si.upf
Bi 208.98 Bi.upf
O 16.00 O.upf
ATOMIC_POSITIONS angstrom
Li 0.152 3.321 0.261
Li 1.585 7.877 2.780
Li 1.585 12.052 2.780
Li 3.138 1.234 0.226
Li 3.138 5.409 0.226
Li 4.571 9.964 2.815
Li 4.875 3.321 2.293
Li 6.308 7.877 4.882
Li 6.308 12.052 4.882
Li 7.861 1.234 2.328
Li 7.861 5.409 2.328
Li 9.294 9.964 4.847
Si 1.796 1.862 2.687
Si 1.796 4.781 2.687
Si 2.927 8.505 0.133
Si 2.927 11.423 0.133
Si 6.519 1.862 4.975
Si 6.519 4.781 4.975
Si 7.650 8.505 2.421
Si 7.650 11.423 2.421
Bi 0.000 0.000 0.000
Bi 0.000 6.643 0.000
Bi 4.723 0.000 2.554
Bi 4.723 6.643 2.554
O 1.082 0.575 1.987
O 1.082 6.067 1.987
O 1.103 3.321 2.171
O 1.351 8.523 4.722
O 1.351 11.405 4.722
O 1.588 1.743 4.313
O 1.588 4.900 4.313
O 3.135 8.385 1.759
O 3.135 11.543 1.759
O 3.372 1.881 2.168
O 3.372 4.762 2.168
O 3.620 9.964 4.725
O 3.641 7.218 4.541
O 3.641 12.710 4.541
O 5.805 0.575 0.567
O 5.805 6.067 0.567
O 5.826 3.321 0.383
O 6.074 8.523 2.940
O 6.074 11.405 2.940
O 6.311 1.743 3.349
O 6.311 4.900 3.349
O 7.858 8.385 0.795
O 7.858 11.543 0.795
O 8.095 1.881 0.386
O 8.095 4.762 0.386
O 8.343 9.964 2.937
O 8.364 7.218 3.121
O 8.364 12.710 3.121
CELL_PARAMETERS angstrom
9.446 0.000 0.000
0.000 13.285 0.000
0.000 0.000 5.108
! Electronic total energy   -336.86 eV/cell
! Polymorph energy (0 for the lowest one)   0.026 eV per atom

***

Entry 7:
! PBE-GGA SrZrO3, relaxed; values from VASP
&SYSTEM
  ibrav = 0, nat = 10, ntyp = 3
/
ATOMIC_SPECIES
Sr 87.62 Sr.upf
Zr 91.22 Zr.upf
O 16.00 O.upf
ATOMIC_POSITIONS angstrom
Sr 0.000 2.921 0.000
Sr 2.921 0.000 0.000
Zr 0.000 0.000 2.112
Zr 2.921 2.921 2.112
O 0.000 0.000 0.000
O 1.119 1.802 2.112
O 1.802 4.723 2.112
O 2.921 2.921 0.000
O 4.040 1.119 2.112
O 4.723 4.040 2.112
CELL_PARAMETERS angstrom
5.843 0.000 0.000
0.000 5.843 0.000
0.000 0.000 4.225
! Electronic total energy   -82.47 eV/cell

***

Entry 8:
! PBE-GGA LiCuP3O9, relaxed; values from VASP
&SYSTEM
  ibrav = 0, nat = 28, ntyp = 4
/
ATOMIC_SPECIES
Li 6.94 Li.upf
Cu 63.55 Cu.upf
P 30.97 P.upf
O 16.00 O.upf
ATOMIC_POSITIONS angstrom
Li 5.324 2.973 4.818
Li 5.660 -2.973 0.000
Cu 6.922 0.002 9.636
Cu 7.258 -0.002 4.818
P 1.944 1.030 7.265
P 3.497 1.682 2.400
P 4.905 0.717 7.198
P 2.280 -1.030 2.447
P 3.161 -1.682 7.218
P 5.241 -0.717 2.380
O 3.484 1.440 7.371
O 2.336 0.572 2.447
O 2.000 -0.572 7.265
O 4.846 0.827 2.221
O 5.551 1.206 5.946
O 7.214 1.746 3.700
O 7.381 1.734 1.113
O 5.607 0.933 8.517
O 4.510 -0.827 7.039
O 3.820 -1.440 2.553
O 8.701 0.723 5.936
O 5.943 -0.933 3.699
O 8.883 0.783 8.521
O 5.887 -1.206 1.128
O 9.037 -0.723 1.118
O 7.045 -1.734 5.931
O 6.878 -1.746 8.518
O 9.219 -0.783 3.703
CELL_PARAMETERS angstrom
5.660 -3.191 0.000
5.660 3.191 0.000
-0.672 0.000 9.636
! Electronic total energy   -186.88 eV/cell
! Polymorph energy (0 for the lowest one)   0.057 eV per atom

***

Which value of electronic total energy does entry 3 give? -1079.19 eV/cell

***

The lowest electronic total energy belongs to which entry? Rb2Ta2Si2O11

***

What did the fifth record say?
! PBE-GGA TbS3, relaxed; values from VASP
&SYSTEM
  ibrav = 0, nat = 8, ntyp = 2
/
ATOMIC_SPECIES
Tb 158.93 Tb.upf
S 32.06 S.upf
ATOMIC_POSITIONS angstrom
Tb 0.000 0.000 0.000
Tb 2.944 4.310 0.000
S 0.000 0.000 6.161
S 1.472 2.155 0.000
S 1.472 6.464 0.000
S 2.944 4.310 6.161
S 4.415 2.155 0.000
S 4.415 6.464 0.000
CELL_PARAMETERS angstrom
5.887 0.000 0.000
0.000 8.619 0.000
0.000 0.000 12.321
! Electronic total energy   -33.05 eV/cell

***

Copy entry 8 word for word.
! PBE-GGA LiCuP3O9, relaxed; values from VASP
&SYSTEM
  ibrav = 0, nat = 28, ntyp = 4
/
ATOMIC_SPECIES
Li 6.94 Li.upf
Cu 63.55 Cu.upf
P 30.97 P.upf
O 16.00 O.upf
ATOMIC_POSITIONS angstrom
Li 5.324 2.973 4.818
Li 5.660 -2.973 0.000
Cu 6.922 0.002 9.636
Cu 7.258 -0.002 4.818
P 1.944 1.030 7.265
P 3.497 1.682 2.400
P 4.905 0.717 7.198
P 2.280 -1.030 2.447
P 3.161 -1.682 7.218
P 5.241 -0.717 2.380
O 3.484 1.440 7.371
O 2.336 0.572 2.447
O 2.000 -0.572 7.265
O 4.846 0.827 2.221
O 5.551 1.206 5.946
O 7.214 1.746 3.700
O 7.381 1.734 1.113
O 5.607 0.933 8.517
O 4.510 -0.827 7.039
O 3.820 -1.440 2.553
O 8.701 0.723 5.936
O 5.943 -0.933 3.699
O 8.883 0.783 8.521
O 5.887 -1.206 1.128
O 9.037 -0.723 1.118
O 7.045 -1.734 5.931
O 6.878 -1.746 8.518
O 9.219 -0.783 3.703
CELL_PARAMETERS angstrom
5.660 -3.191 0.000
5.660 3.191 0.000
-0.672 0.000 9.636
! Electronic total energy   -186.88 eV/cell
! Polymorph energy (0 for the lowest one)   0.057 eV per atom